<w>
This record from the Materials Project database describes a geometry-optimized Li2SiNiO4 structure. The functional is PBE+U.

Cell lengths 5.295, 12.569, 5.292 Å; angles 88.78, 92.67, 91.27 degrees
Fractional coordinates of all 32 atoms:
O 0.307 0.733 0.306
O 0.303 0.017 0.308
O 0.698 0.267 0.692
O 0.135 0.377 0.791
O 0.308 0.233 0.303
O 0.867 0.122 0.210
O 0.796 0.373 0.130
O 0.868 0.622 0.210
O 0.692 0.983 0.698
O 0.697 0.484 0.694
O 0.210 0.128 0.866
O 0.695 0.766 0.697
O 0.792 0.873 0.135
O 0.306 0.517 0.306
O 0.211 0.628 0.867
O 0.131 0.877 0.795
Li 0.818 0.625 0.817
Li 0.816 0.125 0.816
Li 0.312 0.004 0.689
Li 0.688 0.745 0.316
Li 0.179 0.875 0.182
Li 0.182 0.375 0.178
Li 0.316 0.505 0.687
Li 0.689 0.246 0.312
Si 0.177 0.625 0.177
Si 0.821 0.875 0.825
Si 0.825 0.375 0.821
Si 0.176 0.125 0.176
Ni 0.318 0.755 0.677
Ni 0.320 0.255 0.674
Ni 0.678 0.495 0.317
Ni 0.675 0.995 0.320

---

<x>
This record from the Materials Project database describes a geometry-optimized Li2SiNiO4 structure. The functional is PBE+U.

Cell lengths 5.368, 9.837, 6.311 Å; angles 90.00, 90.00, 89.99 degrees
Fractional coordinates of all 32 atoms:
Ni 0.176 0.744 0.500
Ni 0.824 0.994 0.000
Ni 0.176 0.244 0.500
Ni 0.824 0.495 0.000
O 0.833 0.169 0.500
O 0.314 0.198 0.785
O 0.874 0.197 0.000
O 0.833 0.669 0.500
O 0.875 0.697 0.000
O 0.167 0.419 0.000
O 0.314 0.198 0.215
O 0.314 0.698 0.215
O 0.686 0.948 0.715
O 0.686 0.448 0.285
O 0.686 0.448 0.715
O 0.125 0.447 0.500
O 0.167 0.919 0.000
O 0.126 0.947 0.500
O 0.314 0.698 0.785
O 0.686 0.948 0.285
Si 0.167 0.751 0.000
Si 0.167 0.251 0.000
Si 0.833 0.001 0.500
Si 0.833 0.501 0.500
Li 0.329 0.996 0.250
Li 0.672 0.246 0.250
Li 0.672 0.246 0.750
Li 0.329 0.996 0.750
Li 0.671 0.746 0.750
Li 0.328 0.496 0.250
Li 0.328 0.496 0.750
Li 0.671 0.746 0.250

---

Pick <x>: it beats the second-best structure by 18 meV per atom.

---

<w>
This record from the Materials Project database describes a geometry-optimized Li4Si2NiO7 structure. The functional is PBE+U.

Cell lengths 6.777, 9.620, 9.019 Å; angles 90.22, 90.58, 79.96 degrees
Fractional coordinates of all 56 atoms:
O 0.662 0.797 0.350
O 0.883 0.867 0.637
O 0.503 0.003 0.159
O 0.494 0.999 0.659
O 0.347 0.206 0.355
O 0.501 0.499 0.909
O 0.886 0.371 0.387
O 0.219 0.951 0.860
O 0.108 0.633 0.381
O 0.232 0.948 0.357
O 0.781 0.051 0.361
O 0.659 0.295 0.104
O 0.110 0.627 0.882
O 0.337 0.207 0.849
O 0.114 0.135 0.137
O 0.105 0.129 0.631
O 0.654 0.298 0.603
O 0.775 0.553 0.613
O 0.767 0.053 0.857
O 0.652 0.797 0.855
O 0.888 0.365 0.886
O 0.227 0.450 0.605
O 0.339 0.708 0.601
O 0.778 0.551 0.110
O 0.344 0.704 0.100
O 0.500 0.504 0.409
O 0.892 0.873 0.131
O 0.230 0.448 0.108
Li 0.147 0.285 0.497
Li 0.563 0.648 0.743
Li 0.142 0.786 0.750
Li 0.438 0.352 0.741
Li 0.442 0.353 0.244
Li 0.148 0.788 0.241
Li 0.853 0.709 0.497
Li 0.148 0.288 0.998
Li 0.569 0.147 0.494
Li 0.855 0.712 0.996
Li 0.567 0.649 0.240
Li 0.849 0.210 0.743
Li 0.443 0.851 0.490
Li 0.855 0.212 0.252
Li 0.558 0.150 0.991
Li 0.433 0.854 0.993
Si 0.287 0.578 0.503
Si 0.705 0.925 0.756
Si 0.283 0.074 0.754
Si 0.709 0.428 0.507
Si 0.289 0.574 0.003
Si 0.293 0.076 0.256
Si 0.716 0.927 0.254
Si 0.712 0.424 0.006
Ni 0.992 0.012 0.000
Ni 0.010 0.985 0.500
Ni 0.007 0.488 0.750
Ni 0.007 0.491 0.250

---

<x>
This record from the Materials Project database describes a geometry-optimized Li4Si2NiO7 structure. The functional is PBE+U.

Cell lengths 7.186, 7.186, 8.020 Å; angles 84.89, 84.89, 44.66 degrees
Fractional coordinates of all 28 atoms:
Li 0.425 0.130 0.053
Li 0.881 0.535 0.904
Li 0.535 0.881 0.404
Li 0.191 0.816 0.478
Li 0.130 0.425 0.553
Li 0.734 0.418 0.624
Li 0.418 0.734 0.124
Li 0.816 0.191 0.978
O 0.333 0.573 0.295
O 0.081 0.701 0.665
O 0.526 0.142 0.485
O 0.840 0.216 0.398
O 0.792 0.428 0.094
O 0.573 0.333 0.795
O 0.701 0.081 0.165
O 0.917 0.536 0.353
O 0.142 0.526 0.985
O 0.428 0.792 0.594
O 0.216 0.840 0.898
O 0.536 0.917 0.853
O 0.280 0.045 0.227
O 0.045 0.280 0.727
Ni 0.693 0.015 0.703
Ni 0.015 0.693 0.203
Si 0.306 0.967 0.759
Si 0.593 0.256 0.332
Si 0.967 0.306 0.259
Si 0.256 0.593 0.832

---

Pick <x>: it beats the second-best structure by 11 meV per atom.

---

<w>
This record from the Materials Project database describes a geometry-optimized Li2Ni2SnO6 structure. The functional is PBE+U.

Cell lengths 6.633, 6.744, 8.503 Å; angles 71.75, 71.43, 83.72 degrees
Fractional coordinates of all 33 atoms:
O 0.846 0.488 0.918
O 0.147 0.818 0.751
O 0.803 0.832 0.058
O 0.499 0.531 0.250
O 0.196 0.838 0.259
O 0.197 0.168 0.942
O 0.804 0.162 0.741
O 0.171 0.508 0.590
O 0.482 0.127 0.103
O 0.154 0.512 0.082
O 0.857 0.845 0.597
O 0.459 0.823 0.439
O 0.501 0.469 0.750
O 0.518 0.873 0.897
O 0.853 0.182 0.249
O 0.829 0.492 0.410
O 0.541 0.177 0.561
O 0.143 0.155 0.403
Ni 0.170 0.156 0.176
Ni 0.159 0.836 0.505
Ni 0.841 0.164 0.495
Ni 0.491 0.838 0.163
Ni 0.509 0.162 0.837
Ni 0.830 0.844 0.824
Sn 0.827 0.505 0.161
Sn 0.173 0.495 0.839
Sn 0.500 0.500 0.500
Li 0.815 0.150 0.004
Li 0.185 0.850 0.996
Li 0.504 0.126 0.339
Li 0.162 0.511 0.326
Li 0.838 0.489 0.674
Li 0.496 0.874 0.661

---

<x>
This record from the Materials Project database describes a geometry-optimized Li2Ni2SnO6 structure. The functional is PBE+U.

Cell lengths 5.152, 5.152, 10.126 Å; angles 90.00, 90.00, 117.86 degrees
Fractional coordinates of all 22 atoms:
O 0.647 0.647 0.902
O 0.964 0.325 0.891
O 0.853 0.853 0.402
O 0.536 0.175 0.391
O 0.175 0.536 0.391
O 0.825 0.464 0.609
O 0.036 0.675 0.109
O 0.325 0.964 0.891
O 0.353 0.353 0.098
O 0.464 0.825 0.609
O 0.147 0.147 0.598
O 0.675 0.036 0.109
Ni 0.336 0.664 0.000
Ni 0.164 0.836 0.500
Ni 0.836 0.164 0.500
Ni 0.664 0.336 0.000
Li 0.141 0.641 0.750
Li 0.359 0.859 0.250
Li 0.641 0.141 0.750
Li 0.859 0.359 0.250
Sn 0.500 0.500 0.500
Sn 0.000 0.000 0.000

---

Pick <x>: it beats the second-best structure by 28 meV per atom.

---

<w>
This record from the Materials Project database describes a geometry-optimized Li4V3Ni3Sn2O16 structure. The functional is PBE+U.

Cell lengths 5.925, 5.867, 9.790 Å; angles 89.98, 90.84, 119.71 degrees
Fractional coordinates of all 28 atoms:
O 0.466 0.961 0.335
O 0.856 0.683 0.104
O 0.178 0.851 0.604
O 0.178 0.327 0.605
O 0.469 0.506 0.337
O 0.637 0.317 0.605
O 0.695 0.849 0.598
O 0.031 0.514 0.339
O 0.497 0.468 0.841
O 0.495 0.027 0.841
O 0.311 0.652 0.099
O 0.329 0.163 0.107
O 0.954 0.475 0.834
O 0.022 0.014 0.303
O 0.853 0.169 0.103
O 0.014 0.008 0.800
Ni 0.824 0.167 0.714
Ni 0.824 0.656 0.714
Ni 0.659 0.828 0.212
V 0.174 0.356 0.218
V 0.346 0.172 0.718
V 0.182 0.833 0.213
Li 0.662 0.330 0.400
Li 0.006 0.003 0.495
Li 0.002 0.004 0.990
Li 0.319 0.659 0.889
Sn 0.344 0.671 0.499
Sn 0.673 0.336 0.990

---

<x>
This record from the Materials Project database describes a geometry-optimized Li4V3Ni3Sn2O16 structure. The functional is PBE+U.

Cell lengths 5.947, 5.967, 9.732 Å; angles 90.80, 89.91, 119.78 degrees
Fractional coordinates of all 28 atoms:
Li 0.330 0.656 0.402
Li 0.001 0.003 0.497
Li 0.660 0.318 0.888
Li 0.999 0.003 0.988
O 0.161 0.333 0.108
O 0.465 0.494 0.842
O 0.030 0.496 0.841
O 0.327 0.175 0.601
O 0.311 0.621 0.604
O 0.503 0.458 0.333
O 0.681 0.856 0.105
O 0.177 0.861 0.105
O 0.480 0.962 0.842
O 0.846 0.692 0.591
O 0.962 0.463 0.334
O 0.001 0.022 0.306
O 0.849 0.176 0.602
O 0.671 0.308 0.104
O 0.530 0.033 0.335
O 0.014 0.028 0.802
V 0.172 0.344 0.719
V 0.821 0.172 0.219
V 0.335 0.177 0.213
Ni 0.659 0.829 0.713
Ni 0.832 0.664 0.212
Ni 0.170 0.829 0.712
Sn 0.340 0.682 0.986
Sn 0.673 0.346 0.503

---

Pick <x>: it beats the second-best structure by 15 meV per atom.

---

<w>
This record from the Materials Project database describes a geometry-optimized Li2Ni3TeO8 structure. The functional is PBE+U.

Cell lengths 5.878, 5.878, 9.598 Å; angles 90.00, 90.00, 120.00 degrees
Fractional coordinates of all 28 atoms:
O 0.831 0.661 0.091
O 0.517 0.033 0.851
O 0.483 0.517 0.351
O 0.033 0.517 0.351
O 0.000 0.000 0.795
O 0.517 0.483 0.851
O 0.661 0.831 0.591
O 0.667 0.333 0.616
O 0.169 0.339 0.591
O 0.831 0.169 0.091
O 0.967 0.483 0.851
O 0.333 0.667 0.116
O 0.339 0.169 0.091
O 0.000 0.000 0.295
O 0.483 0.967 0.351
O 0.169 0.831 0.591
Ni 0.829 0.658 0.713
Ni 0.342 0.171 0.713
Ni 0.171 0.829 0.213
Ni 0.658 0.829 0.213
Ni 0.171 0.342 0.213
Ni 0.829 0.171 0.713
Li 0.667 0.333 0.406
Li 0.000 0.000 0.487
Li 0.333 0.667 0.906
Li 0.000 0.000 0.987
Te 0.667 0.333 0.984
Te 0.333 0.667 0.484

---

<x>
This record from the Materials Project database describes a geometry-optimized Li2Ni3TeO8 structure. The functional is PBE+U.

Cell lengths 6.020, 6.020, 6.020 Å; angles 58.77, 58.77, 58.78 degrees
Fractional coordinates of all 14 atoms:
O 0.724 0.268 0.268
O 0.268 0.724 0.268
O 0.732 0.276 0.732
O 0.276 0.732 0.732
O 0.268 0.268 0.724
O 0.730 0.730 0.730
O 0.732 0.732 0.276
O 0.270 0.270 0.270
Li 0.135 0.135 0.135
Li 0.865 0.865 0.865
Ni 0.000 0.500 0.500
Ni 0.500 0.500 0.000
Ni 0.500 0.000 0.500
Te 0.500 0.500 0.500

---

Pick <x>: it beats the second-best structure by 12 meV per atom.

---

<w>
This record from the Materials Project database describes a geometry-optimized Li2Ni3TeO8 structure. The functional is PBE+U.

Cell lengths 5.880, 5.880, 6.176 Å; angles 58.59, 58.59, 61.39 degrees
Fractional coordinates of all 14 atoms:
O 0.225 0.759 0.232
O 0.759 0.759 0.251
O 0.775 0.241 0.768
O 0.241 0.241 0.749
O 0.749 0.749 0.685
O 0.759 0.225 0.232
O 0.241 0.775 0.768
O 0.251 0.251 0.315
Ni 0.500 0.500 0.000
Ni 0.000 0.500 0.500
Ni 0.500 0.000 0.500
Li 0.000 0.000 0.500
Li 0.500 0.500 0.500
Te 0.000 0.000 0.000

---

<x>
This record from the Materials Project database describes a geometry-optimized Li2Ni3TeO8 structure. The functional is PBE+U.

Cell lengths 5.908, 10.494, 5.907 Å; angles 106.33, 59.85, 90.07 degrees
Fractional coordinates of all 28 atoms:
O 0.874 0.406 0.257
O 0.095 0.628 0.262
O 0.905 0.372 0.738
O 0.351 0.906 0.280
O 0.867 0.870 0.727
O 0.134 0.128 0.724
O 0.357 0.370 0.737
O 0.133 0.130 0.273
O 0.649 0.094 0.720
O 0.126 0.594 0.743
O 0.865 0.872 0.276
O 0.360 0.370 0.277
O 0.592 0.130 0.270
O 0.640 0.630 0.723
O 0.643 0.630 0.263
O 0.408 0.870 0.730
Ni 0.000 0.500 0.500
Ni 0.000 0.000 0.500
Ni 0.500 0.000 0.000
Ni 0.000 0.500 0.000
Ni 0.500 0.000 0.500
Ni 0.500 0.500 0.500
Li 0.067 0.798 0.867
Li 0.932 0.202 0.133
Li 0.431 0.702 0.135
Li 0.569 0.298 0.865
Te 0.248 0.250 0.502
Te 0.752 0.750 0.498

---

Pick <x>: it beats the second-best structure by 80 meV per atom.